No. 1
A relaxed Er10NiSb5 crystal. Source: the Materials Project database, functional PBE.

Cell lengths 7.8957, 9.1658, 11.7963 Å; angles 90.00, 90.00, 90.00 degrees
Last column: nearest neighbours and their distance in Å.
Element x y z (fractional)
Er: 0.9336 0.7198 0.9346  1 Ni 2.74
Er: 0.4310 0.8173 0.5646  1 Ni 2.85, 1 Sb 3.03
Er: 0.9073 0.5000 0.2146  5 Sb 2.98-3.24
Er: 0.9116 0.0000 0.2066  1 Ni 2.69
Er: 0.0664 0.2802 0.4346  1 Ni 2.74
Er: 0.2683 0.5000 0.9951  5 Sb 3.09-3.12, 2 Er 3.40
Er: 0.7317 0.5000 0.4951  5 Sb 3.09-3.12, 2 Er 3.40
Er: 0.4310 0.1827 0.5646  1 Ni 2.85, 1 Sb 3.03
Er: 0.4256 0.5000 0.2746  5 Sb 3.03-3.17
Er: 0.5690 0.1827 0.0646  1 Ni 2.85, 1 Sb 3.03
Er: 0.9336 0.2802 0.9346  1 Ni 2.74
Er: 0.7952 0.0000 0.5000  1 Ni 2.92, 4 Sb 3.14-3.15
Er: 0.0884 0.0000 0.7066  1 Ni 2.69
Er: 0.0927 0.5000 0.7146  5 Sb 2.98-3.24
Er: 0.5744 0.5000 0.7746  5 Sb 3.03-3.17
Er: 0.6186 0.0000 0.8023  1 Ni 2.75
Er: 0.5690 0.8173 0.0646  1 Ni 2.85, 1 Sb 3.03
Er: 0.2047 0.0000 0.0000  1 Ni 2.92, 4 Sb 3.14-3.15
Er: 0.3814 0.0000 0.3023  1 Ni 2.75
Er: 0.0664 0.7198 0.4346  1 Ni 2.74
Sb: 0.3178 0.2422 0.8263  9 Er 3.11-3.48
Sb: 0.3431 0.5000 0.5256  7 Er 2.98-3.16
Sb: 0.6822 0.2422 0.3263  9 Er 3.11-3.48
Sb: 0.6569 0.5000 0.0256  7 Er 2.98-3.16
Sb: 0.1852 0.7407 0.1730  9 Er 3.12-3.45
Sb: 0.8148 0.7407 0.6730  9 Er 3.12-3.45
Sb: 0.6822 0.7578 0.3263  9 Er 3.11-3.48
Sb: 0.1852 0.2593 0.1730  9 Er 3.12-3.45
Sb: 0.3178 0.7578 0.8263  9 Er 3.11-3.48
Sb: 0.8148 0.2593 0.6730  9 Er 3.12-3.45
Ni: 0.1639 0.0000 0.4842  7 Er 2.69-2.92
Ni: 0.8361 0.0000 0.9842  7 Er 2.69-2.92

- E (MP2020) (eV per atom) = -5.37

---

No. 2
A relaxed Er2Si5Ni3 crystal. Source: the Materials Project database, functional PBE.

Cell lengths 7.8438, 7.8438, 7.8438 Å; angles 138.07, 104.33, 90.49 degrees
Last column: nearest neighbours and their distance in Å.
Element x y z (fractional)
Ni: 0.7492 0.1335 0.6157  5 Si 2.26-2.32
Ni: 0.4822 0.3665 0.1157  5 Si 2.26-2.32
Ni: 0.2508 0.8665 0.3843  5 Si 2.26-2.32
Ni: 0.5178 0.6335 0.8843  5 Si 2.26-2.32
Ni: 0.0000 0.2500 0.2500  6 Si 2.35-2.61
Ni: 0.0000 0.7500 0.7500  6 Si 2.35-2.61
Si: 0.5000 0.7500 0.2500  4 Ni 2.32
Si: 0.2364 0.4864 0.2500  2 Ni 2.30, 2 Si 2.46
Si: 0.7636 0.5136 0.7500  2 Ni 2.30, 2 Si 2.46
Si: 0.2364 0.9864 0.7500  2 Ni 2.30, 2 Si 2.46
Si: 0.0423 0.8914 0.1508  3 Ni 2.26-2.35, 2 Si 2.46
Si: 0.5000 0.2500 0.7500  4 Ni 2.32
Si: 0.2594 0.6086 0.6508  3 Ni 2.26-2.35, 2 Si 2.46
Si: 0.7406 0.3914 0.3492  3 Ni 2.26-2.35, 2 Si 2.46
Si: 0.9577 0.1086 0.8492  3 Ni 2.26-2.35, 2 Si 2.46
Si: 0.7636 0.0136 0.2500  2 Ni 2.30, 2 Si 2.46
Er: 0.1324 0.3695 0.7629  10 Si 2.85-3.12, 4 Ni 2.97-3.14
Er: 0.3934 0.1305 0.2629  10 Si 2.85-3.12, 4 Ni 2.97-3.14
Er: 0.6066 0.8695 0.7371  10 Si 2.85-3.12, 4 Ni 2.97-3.14
Er: 0.8676 0.6305 0.2371  10 Si 2.85-3.12, 4 Ni 2.97-3.14

- spin magnetization (μB per formula unit) = 0.00

---

no.,energy (eV per cell),calculated volume (Å³/atom),formation enthalpy at 0 K (kJ/mol of formula units)
1,-169.8,26.68,-1326
2,-122.8,14.91,-754